Record 1
# InAsH4O6 PBE relaxed
# uncorrected energy = -5.147 eV per atom
# polymorph energy (0 for the lowest one) = 298 meV per atom
# ΔE_f = -1.269 eV/atom
data_InAsH4O6
_chemical_formula_sum 'In8 As8 H32 O48'
_space_group_name_H-M_alt 'P b c a'
_space_group_IT_number 61
_cell_length_a 9.629
_cell_length_b 11.631
_cell_length_c 10.683
_cell_angle_alpha 90.00
_cell_angle_beta 90.00
_cell_angle_gamma 90.00
loop_
_space_group_symop_operation_xyz
'x,y,z'
'-x,-y,-z'
'-x+1/2,-y,z+1/2'
'x+1/2,y,-z+1/2'
'x+1/2,-y+1/2,-z'
'-x+1/2,y+1/2,z'
'-x,y+1/2,-z+1/2'
'x,-y+1/2,z+1/2'
loop_
_atom_site_label
_atom_site_fract_x
_atom_site_fract_y
_atom_site_fract_z
_atom_site_occupancy
In1 0.210 0.074 0.115 1
As1 0.125 0.678 0.443 1
H1 0.057 0.684 0.115 1
H2 0.062 0.170 0.858 1
H3 0.119 0.032 0.758 1
H4 0.219 0.182 0.664 1
O1 0.047 0.192 0.766 1
O2 0.048 0.135 0.006 1
O3 0.119 0.674 0.042 1
O4 0.169 0.540 0.273 1
O5 0.182 0.241 0.730 1
O6 0.217 0.602 0.564 1

Record 2
# KMgAsH12O10 PBE relaxed
# uncorrected energy = -5.185 eV per atom
# ΔE_f = -1.558 eV/atom
data_KMgAsH12O10
_chemical_formula_sum 'K2 Mg2 As2 H24 O20'
_space_group_name_H-M_alt 'P m n 21'
_space_group_IT_number 31
_cell_length_a 7.223
_cell_length_b 6.242
_cell_length_c 11.249
_cell_angle_alpha 90.00
_cell_angle_beta 90.00
_cell_angle_gamma 90.00
loop_
_space_group_symop_operation_xyz
'x,y,z'
'-x+1/2,-y,z+1/2'
'-x,y,z'
'x+1/2,-y,z+1/2'
loop_
_atom_site_label
_atom_site_fract_x
_atom_site_fract_y
_atom_site_fract_z
_atom_site_occupancy
K1 0.000 0.115 0.000 1
Mg1 0.000 0.129 0.327 1
As1 0.000 0.507 0.714 1
H1 0.101 0.792 0.471 1
H2 0.112 0.489 0.203 1
H3 0.178 0.903 0.699 1
H4 0.182 0.672 0.910 1
H5 0.196 0.294 0.525 1
H6 0.247 0.853 0.205 1
O1 0.000 0.396 0.215 1
O2 0.000 0.508 0.867 1
O3 0.000 0.765 0.658 1
O4 0.000 0.823 0.416 1
O5 0.196 0.380 0.662 1
O6 0.209 0.008 0.218 1
O7 0.219 0.231 0.443 1

Record 3
# KAsH2O4 PBE relaxed
# uncorrected energy = -5.419 eV per atom
# polymorph energy (0 for the lowest one) = 0 meV per atom
# ΔE_f = -1.719 eV/atom
data_KAsH2O4
_chemical_formula_sum 'K8 As8 H16 O32'
_space_group_name_H-M_alt 'F d d 2'
_space_group_IT_number 43
_space_group_name_Hall 'F 2 -2d'
_cell_length_a 10.951
_cell_length_b 11.100
_cell_length_c 7.340
_cell_angle_alpha 90.00
_cell_angle_beta 90.00
_cell_angle_gamma 90.00
loop_
_atom_site_label
_atom_site_fract_x
_atom_site_fract_y
_atom_site_fract_z
_atom_site_occupancy
K1 0.000 0.000 0.000 1
As1 0.000 0.000 0.522 1
H1 0.031 0.314 0.883 1
O1 0.037 0.120 0.373 1
O2 0.124 0.214 0.895 1

Record 4
# KAsH2O4 PBE relaxed
# uncorrected energy = -5.412 eV per atom
# polymorph energy (0 for the lowest one) = 7 meV per atom
# ΔE_f = -1.712 eV/atom
data_KAsH2O4
_chemical_formula_sum 'K4 As4 H8 O16'
_space_group_name_H-M_alt 'I -4 2 d'
_space_group_IT_number 122
_space_group_name_Hall 'I -4 2bw'
_cell_length_a 7.682
_cell_length_b 7.682
_cell_length_c 7.342
_cell_angle_alpha 90.00
_cell_angle_beta 90.00
_cell_angle_gamma 90.00
loop_
_atom_site_label
_atom_site_fract_x
_atom_site_fract_y
_atom_site_fract_z
_atom_site_occupancy
K1 0.000 0.000 0.000 1
As1 0.000 0.000 0.500 1
H1 0.156 0.750 0.625 1
O1 0.092 0.159 0.365 1

Record 5
# KAs2HO6 PBE relaxed
# uncorrected energy = -5.693 eV per atom
# ΔE_f = -1.754 eV/atom
data_KAs2HO6
_chemical_formula_sum 'K4 As8 H4 O24'
_space_group_name_H-M_alt 'P 1 21/c 1'
_space_group_IT_number 14
_cell_length_a 6.217
_cell_length_b 9.863
_cell_length_c 9.314
_cell_angle_alpha 90.00
_cell_angle_beta 94.37
_cell_angle_gamma 90.00
loop_
_space_group_symop_operation_xyz
'x,y,z'
'-x,-y,-z'
'-x,y+1/2,-z+1/2'
'x,-y+1/2,z+1/2'
loop_
_atom_site_label
_atom_site_fract_x
_atom_site_fract_y
_atom_site_fract_z
_atom_site_occupancy
K1 0.107 0.193 0.476 1
As1 0.340 0.612 0.754 1
As2 0.389 0.598 0.417 1
H1 0.060 0.541 0.289 1
O1 0.112 0.559 0.822 1
O2 0.123 0.626 0.334 1
O3 0.298 0.688 0.585 1
O4 0.336 0.071 0.997 1
O5 0.468 0.517 0.242 1
O6 0.490 0.732 0.860 1